{"formula": "Li5Mn2CoO8", "functional": "PBE with a Hubbard U", "state": "relaxed", "energy_mp2020_ev_per_cell": -103.3, "spacegroup": "R-3m (166)", "formation_energy_mev_per_atom": -1795, "total_magnetization_mub_per_fu": 12.84, "volume_a3_per_atom": 9.39, "lattice": [[2.9580, 0.0000, 0.0000], [-1.4790, 2.5522, 0.2209], [0.0000, -0.0085, 19.9059]], "species": ["Li", "Li", "Li", "Li", "Li", "Mn", "Mn", "Co", "O", "O", "O", "O", "O", "O", "O", "O"], "fractional_positions": [[0.8796, 0.7591, 0.3613], [0.1235, 0.2470, 0.6295], [0.3765, 0.7530, 0.8705], [0.6204, 0.2409, 0.1387], [0.2500, 0.5000, 0.2500], [0.0006, 0.0011, 0.9983], [0.4994, 0.9989, 0.5017], [0.7500, 0.5000, 0.7500], [0.8139, 0.6278, 0.5583], [0.0645, 0.1291, 0.8064], [0.3168, 0.6337, 0.0495], [0.5620, 0.1240, 0.3140], [0.9380, 0.8760, 0.1860], [0.1832, 0.3663, 0.4505], [0.4355, 0.8709, 0.6936], [0.6861, 0.3722, 0.9417]]}


{"formula": "Li4Mn3CoO8", "functional": "PBE with a Hubbard U", "state": "relaxed", "energy_mp2020_ev_per_cell": -113.1, "spacegroup": "R-3m (166)", "formation_energy_mev_per_atom": -1957, "total_magnetization_mub_per_fu": 14.00, "volume_a3_per_atom": 9.46, "lattice": [[-0.0988, -2.7737, -1.1208], [1.9260, 0.6598, 2.1942], [-12.1943, -5.3681, 14.3594]], "species": ["Li", "Li", "Li", "Li", "Mn", "Mn", "Mn", "Co", "O", "O", "O", "O", "O", "O", "O", "O"], "fractional_positions": [[0.8752, 0.7503, 0.3745], [0.1248, 0.2497, 0.6255], [0.3729, 0.7458, 0.8812], [0.6271, 0.2542, 0.1188], [0.2505, 0.5009, 0.2486], [0.5000, 0.0000, 0.5000], [0.7495, 0.4991, 0.7514], [0.0000, 0.0000, 0.0000], [0.8142, 0.6283, 0.5576], [0.0643, 0.1285, 0.8072], [0.3148, 0.6296, 0.0557], [0.5646, 0.1292, 0.3062], [0.9357, 0.8715, 0.1928], [0.1858, 0.3717, 0.4424], [0.4354, 0.8708, 0.6938], [0.6852, 0.3704, 0.9443]]}


{"formula": "Li7Mn2Co3O12", "functional": "PBE with a Hubbard U", "state": "relaxed", "energy_mp2020_ev_per_cell": -157.1, "spacegroup": "Cm (8)", "formation_energy_mev_per_atom": -1865, "total_magnetization_mub_per_fu": 17.24, "volume_a3_per_atom": 9.02, "lattice": [[-3.4862, -2.1453, 3.1097], [-0.9750, -3.5149, 3.6222], [2.1271, 8.5919, 12.5395]], "species": ["Li", "Li", "Li", "Li", "Li", "Li", "Li", "Mn", "Mn", "Co", "Co", "Co", "O", "O", "O", "O", "O", "O", "O", "O", "O", "O", "O", "O"], "fractional_positions": [[0.7520, 0.7520, 0.9073], [0.2371, 0.2371, 0.7594], [0.7530, 0.7530, 0.5918], [0.2509, 0.2509, 0.4118], [0.7493, 0.7493, 0.2451], [0.2521, 0.2521, 0.0837], [0.5020, 0.5020, 0.8356], [0.0012, 0.0012, 0.9962], [0.5046, 0.5046, 0.4998], [0.9902, 0.9902, 0.6824], [0.0045, 0.0045, 0.3298], [0.4967, 0.4967, 0.1681], [0.1166, 0.1166, 0.8892], [0.6143, 0.6143, 0.7032], [0.1145, 0.1145, 0.5336], [0.6163, 0.6163, 0.3793], [0.1173, 0.1173, 0.2069], [0.6056, 0.6056, 0.0442], [0.3897, 0.3897, 0.9647], [0.8733, 0.8733, 0.7844], [0.3953, 0.3953, 0.6150], [0.8937, 0.8937, 0.4603], [0.3843, 0.3843, 0.2879], [0.8855, 0.8855, 0.1205]]}


{"formula": "Li6Mn3CoO10", "functional": "PBE with a Hubbard U", "state": "relaxed", "energy_mp2020_ev_per_cell": -136.0, "spacegroup": "P1 (1)", "formation_energy_mev_per_atom": -2021, "total_magnetization_mub_per_fu": 10.00, "volume_a3_per_atom": 8.98, "lattice": [[-2.6523, 0.4398, -1.1953], [-2.0268, -0.0703, 4.6639], [2.8864, 11.7515, 0.1288]], "species": ["Li", "Li", "Li", "Li", "Li", "Li", "Mn", "Mn", "Mn", "Co", "O", "O", "O", "O", "O", "O", "O", "O", "O", "O"], "fractional_positions": [[0.8990, 0.3067, 0.7989], [0.2995, 0.0945, 0.6005], [0.6945, 0.9046, 0.3935], [0.1002, 0.6995, 0.2003], [0.5066, 0.4955, 0.0063], [0.5998, 0.2005, 0.2008], [0.0120, 0.0109, 0.0073], [0.1905, 0.3924, 0.3945], [0.4075, 0.7963, 0.7988], [0.7860, 0.6009, 0.5981], [0.4788, 0.1244, 0.9080], [0.8205, 0.9317, 0.6978], [0.2077, 0.7241, 0.5033], [0.6671, 0.5329, 0.3129], [0.0402, 0.3285, 0.0915], [0.3746, 0.4616, 0.6961], [0.7242, 0.2819, 0.4932], [0.1623, 0.0721, 0.3113], [0.5348, 0.8691, 0.0883], [0.9943, 0.6720, 0.8985]]}


{"formula": "Li4MnCo2O7", "functional": "PBE with a Hubbard U", "state": "relaxed", "energy_mp2020_ev_per_cell": -183.2, "spacegroup": "P1 (1)", "formation_energy_mev_per_atom": -1852, "total_magnetization_mub_per_fu": 10.00, "volume_a3_per_atom": 8.95, "lattice": [[5.9328, 0.0000, 0.0000], [-1.5163, 6.3173, 0.0000], [-2.7438, -2.5703, 6.6849]], "species": ["Li", "Li", "Li", "Li", "Li", "Li", "Li", "Li", "Mn", "Mn", "Co", "Co", "Co", "Co", "O", "O", "O", "O", "O", "O", "O", "O", "O", "O", "O", "O", "O", "O"], "fractional_positions": [[0.6322, 0.1408, 0.7061], [0.7977, 0.2950, 0.4332], [0.3568, 0.8619, 0.2865], [0.5015, 0.0017, 0.0017], [0.0702, 0.5700, 0.8577], [0.2103, 0.7046, 0.5649], [0.9465, 0.4329, 0.1553], [0.2837, 0.2847, 0.4282], [0.9976, 0.0028, 0.0004], [0.1401, 0.1456, 0.7118], [0.4252, 0.4266, 0.1445], [0.5664, 0.5678, 0.8506], [0.7046, 0.7035, 0.5648], [0.8698, 0.8577, 0.2910], [0.0213, 0.2607, 0.9163], [0.1843, 0.4182, 0.6551], [0.7786, 0.0019, 0.5126], [0.8913, 0.1182, 0.2020], [0.4832, 0.6936, 0.0741], [0.6323, 0.8595, 0.7981], [0.3493, 0.5725, 0.3508], [0.2381, 0.0066, 0.5152], [0.3593, 0.1473, 0.1904], [0.9656, 0.7315, 0.0679], [0.0927, 0.8765, 0.7893], [0.6750, 0.4485, 0.6510], [0.8320, 0.5856, 0.3596], [0.4945, 0.2838, 0.9210]]}


{"formula": "Li4Mn3CoO8", "functional": "PBE with a Hubbard U", "state": "relaxed", "energy_mp2020_ev_per_cell": -112.9, "spacegroup": "R-3m (166)", "formation_energy_mev_per_atom": -1946, "total_magnetization_mub_per_fu": 9.70, "volume_a3_per_atom": 9.38, "lattice": [[5.1827, -2.9774, 0.0000], [5.1827, 2.9774, 0.0000], [3.4723, 0.0000, 4.8651]], "species": ["Li", "Li", "Li", "Li", "Mn", "Mn", "Mn", "Co", "O", "O", "O", "O", "O", "O", "O", "O"], "fractional_positions": [[0.5000, 0.5000, 0.5000], [0.0000, 0.5000, 0.0000], [0.5000, 0.0000, 0.0000], [0.0000, 0.0000, 0.5000], [0.5000, 0.0000, 0.5000], [0.0000, 0.5000, 0.5000], [0.5000, 0.5000, 0.0000], [0.0000, 0.0000, 0.0000], [0.2461, 0.2461, 0.2461], [0.7549, 0.2728, 0.7549], [0.2728, 0.7549, 0.7549], [0.7549, 0.7549, 0.2728], [0.7539, 0.7539, 0.7539], [0.2451, 0.7272, 0.2451], [0.7272, 0.2451, 0.2451], [0.2451, 0.2451, 0.7272]]}


{"formula": "Li5Mn2CoO8", "functional": "PBE with a Hubbard U", "state": "relaxed", "energy_mp2020_ev_per_cell": -102.1, "spacegroup": "C2/m (12)", "formation_energy_mev_per_atom": -1724, "total_magnetization_mub_per_fu": 2.44, "volume_a3_per_atom": 9.65, "lattice": [[2.2061, -1.8488, 0.9440], [2.5813, -0.3982, -1.5344], [10.6960, 14.0468, 9.8410]], "species": ["Li", "Li", "Li", "Li", "Li", "Mn", "Mn", "Co", "O", "O", "O", "O", "O", "O", "O", "O"], "fractional_positions": [[0.8760, 0.8760, 0.8831], [0.1240, 0.1240, 0.1169], [0.3739, 0.3739, 0.3774], [0.6261, 0.6261, 0.6226], [0.5000, 0.5000, 0.0000], [0.2525, 0.2525, 0.7495], [0.7475, 0.7475, 0.2505], [0.0000, 0.0000, 0.5000], [0.5832, 0.5832, 0.8030], [0.8148, 0.8148, 0.0634], [0.0838, 0.0838, 0.3079], [0.3125, 0.3125, 0.5566], [0.1852, 0.1852, 0.9366], [0.4168, 0.4168, 0.1970], [0.6875, 0.6875, 0.4434], [0.9162, 0.9162, 0.6921]]}


{"formula": "Li5MnCo2O8", "functional": "PBE with a Hubbard U", "state": "relaxed", "energy_mp2020_ev_per_cell": -101.8, "spacegroup": "P1 (1)", "formation_energy_mev_per_atom": -1831, "total_magnetization_mub_per_fu": 10.00, "volume_a3_per_atom": 8.69, "lattice": [[-4.9655, 0.0000, 0.0000], [0.8094, 5.0188, 0.0000], [-0.0061, -1.7229, -5.5811]], "species": ["Li", "Li", "Li", "Li", "Li", "Mn", "Co", "Co", "O", "O", "O", "O", "O", "O", "O", "O"], "fractional_positions": [[0.2555, 0.5050, 0.3734], [0.7425, 0.4925, 0.6192], [0.2572, 0.5057, 0.8791], [0.7449, 0.4970, 0.1292], [0.4998, 0.9999, 0.2514], [0.0004, 0.0009, 0.0008], [0.0005, 0.0000, 0.4893], [0.5000, 0.9993, 0.7538], [0.3677, 0.2159, 0.5786], [0.8571, 0.2225, 0.8162], [0.3632, 0.2199, 0.0368], [0.8952, 0.2368, 0.2960], [0.1053, 0.7660, 0.1757], [0.6306, 0.7791, 0.4681], [0.1411, 0.7757, 0.7056], [0.6390, 0.7838, 0.9270]]}


{"formula": "Li5MnCo2O8", "functional": "PBE with a Hubbard U", "state": "relaxed", "energy_mp2020_ev_per_cell": -102.0, "spacegroup": "Pm (6)", "formation_energy_mev_per_atom": -1842, "total_magnetization_mub_per_fu": 4.00, "volume_a3_per_atom": 8.86, "lattice": [[2.9394, 0.0000, 0.0000], [0.0000, 5.0446, 0.0000], [0.0000, 2.0203, 9.5604]], "species": ["Li", "Li", "Li", "Li", "Li", "Mn", "Co", "Co", "O", "O", "O", "O", "O", "O", "O", "O"], "fractional_positions": [[0.0000, 0.7322, 0.7513], [0.5000, 0.0027, 0.4994], [0.0000, 0.2550, 0.2527], [0.5000, 0.4958, 0.9936], [0.5000, 0.2624, 0.7534], [0.0000, 0.0116, 0.9919], [0.0000, 0.4936, 0.5117], [0.5000, 0.7355, 0.2519], [0.0000, 0.1695, 0.6091], [0.5000, 0.3879, 0.3745], [0.0000, 0.6481, 0.1278], [0.5000, 0.8899, 0.8893], [0.0000, 0.3533, 0.8838], [0.5000, 0.6257, 0.6155], [0.0000, 0.8366, 0.3781], [0.5000, 0.1002, 0.1161]]}


{"formula": "Li7Mn2Co3O12", "functional": "PBE with a Hubbard U", "state": "relaxed", "energy_mp2020_ev_per_cell": -157.0, "spacegroup": "P1 (1)", "formation_energy_mev_per_atom": -1860, "total_magnetization_mub_per_fu": 8.00, "volume_a3_per_atom": 8.99, "lattice": [[-1.4751, 2.1221, 1.4728], [1.5375, -4.7194, 5.7678], [8.8644, 4.0467, 0.5579]], "species": ["Li", "Li", "Li", "Li", "Li", "Li", "Li", "Mn", "Mn", "Co", "Co", "Co", "O", "O", "O", "O", "O", "O", "O", "O", "O", "O", "O", "O"], "fractional_positions": [[0.7549, 0.7538, 0.7455], [0.9338, 0.5952, 0.2560], [0.0751, 0.4124, 0.7499], [0.2414, 0.2479, 0.2476], [0.4130, 0.0863, 0.7462], [0.5903, 0.9097, 0.2618], [0.1501, 0.8291, 0.4907], [0.9997, 0.0001, 0.9998], [0.5076, 0.5066, 0.4996], [0.3265, 0.6640, 0.0004], [0.6722, 0.3361, 0.9993], [0.8295, 0.1529, 0.5046], [0.3345, 0.8658, 0.8802], [0.5340, 0.6903, 0.3817], [0.7090, 0.5364, 0.8828], [0.9006, 0.3780, 0.3973], [0.0593, 0.2068, 0.8845], [0.1914, 0.0599, 0.3860], [0.1038, 0.6074, 0.6102], [0.2862, 0.4626, 0.1148], [0.4860, 0.2912, 0.6119], [0.6604, 0.1341, 0.1177], [0.7999, 0.9794, 0.6164], [0.9409, 0.7940, 0.1149]]}


{"formula": "Li6Mn3CoO10", "functional": "PBE with a Hubbard U", "state": "relaxed", "energy_mp2020_ev_per_cell": -135.4, "spacegroup": "P1 (1)", "formation_energy_mev_per_atom": -1994, "total_magnetization_mub_per_fu": 14.00, "volume_a3_per_atom": 9.18, "lattice": [[-1.1550, 0.5276, 2.7153], [4.3804, -2.5591, 4.0000], [5.7976, 7.8678, 1.6764]], "species": ["Li", "Li", "Li", "Li", "Li", "Li", "Mn", "Mn", "Mn", "Co", "O", "O", "O", "O", "O", "O", "O", "O", "O", "O"], "fractional_positions": [[0.8865, 0.2054, 0.6925], [0.1062, 0.8022, 0.3009], [0.4855, 0.0127, 0.4984], [0.7080, 0.5830, 0.1026], [0.3156, 0.3936, 0.9117], [0.3817, 0.2118, 0.1932], [0.0029, 0.0066, 0.0075], [0.1976, 0.5990, 0.5959], [0.6155, 0.7943, 0.8037], [0.7907, 0.3920, 0.3890], [0.4906, 0.0766, 0.8680], [0.6357, 0.6770, 0.4497], [0.0302, 0.8852, 0.6541], [0.2256, 0.4950, 0.2633], [0.8537, 0.2814, 0.0447], [0.3603, 0.3159, 0.5455], [0.5217, 0.9138, 0.1306], [0.9415, 0.1266, 0.3590], [0.1801, 0.7156, 0.9467], [0.7705, 0.5123, 0.7430]]}


{"formula": "Li4Mn3CoO8", "functional": "PBE with a Hubbard U", "state": "relaxed", "energy_mp2020_ev_per_cell": -113.8, "spacegroup": "C2/m (12)", "formation_energy_mev_per_atom": -2001, "total_magnetization_mub_per_fu": 14.00, "volume_a3_per_atom": 9.47, "lattice": [[3.1968, -5.1462, 0.3946], [3.8303, -1.8355, -4.3380], [5.0120, 1.0649, 1.4159]], "species": ["Li", "Li", "Li", "Li", "Mn", "Mn", "Mn", "Co", "O", "O", "O", "O", "O", "O", "O", "O"], "fractional_positions": [[0.7515, 0.2485, 0.5000], [0.7471, 0.7471, 0.4844], [0.2529, 0.2529, 0.5156], [0.2485, 0.7515, 0.5000], [0.0000, 0.5000, 0.0000], [0.5000, 0.0000, 0.0000], [0.5000, 0.5000, 0.0000], [0.0000, 0.0000, 0.0000], [0.6256, 0.1423, 0.2377], [0.6416, 0.6416, 0.2274], [0.1190, 0.1190, 0.2062], [0.1423, 0.6256, 0.2377], [0.8577, 0.3744, 0.7623], [0.8810, 0.8810, 0.7938], [0.3584, 0.3584, 0.7726], [0.3744, 0.8577, 0.7623]]}


{"formula": "Li6Mn3CoO10", "functional": "PBE with a Hubbard U", "state": "relaxed", "energy_mp2020_ev_per_cell": -135.9, "spacegroup": "P1 (1)", "formation_energy_mev_per_atom": -2021, "total_magnetization_mub_per_fu": 10.00, "volume_a3_per_atom": 8.94, "lattice": [[-0.0772, 2.4238, 1.6484], [-2.0719, -3.4257, 4.4355], [10.1021, -2.0683, 1.2903]], "species": ["Li", "Li", "Li", "Li", "Li", "Li", "Mn", "Mn", "Mn", "Co", "O", "O", "O", "O", "O", "O", "O", "O", "O", "O"], "fractional_positions": [[0.9903, 0.4871, 0.9819], [0.6041, 0.2982, 0.2015], [0.4005, 0.7010, 0.8005], [0.8087, 0.9096, 0.6127], [0.1974, 0.1031, 0.4007], [0.3995, 0.2002, 0.7987], [0.9891, 0.0049, 0.9910], [0.8087, 0.3966, 0.6070], [0.5967, 0.7997, 0.2028], [0.2120, 0.5962, 0.4009], [0.5113, 0.2215, 0.9998], [0.0547, 0.0373, 0.1924], [0.8881, 0.4504, 0.7849], [0.3179, 0.6208, 0.5916], [0.6679, 0.8350, 0.3994], [0.4763, 0.7784, 0.0048], [0.1371, 0.5595, 0.2085], [0.9099, 0.9528, 0.8133], [0.2865, 0.1808, 0.5990], [0.7434, 0.3668, 0.4087]]}


{"formula": "Li7Mn4CoO12", "functional": "PBE with a Hubbard U", "state": "relaxed", "energy_mp2020_ev_per_cell": -164.8, "spacegroup": "P1 (1)", "formation_energy_mev_per_atom": -2013, "total_magnetization_mub_per_fu": 16.00, "volume_a3_per_atom": 9.23, "lattice": [[3.0077, 0.0000, 0.0000], [-1.0764, 7.5838, 0.0000], [-0.6295, -2.0447, 9.7159]], "species": ["Li", "Li", "Li", "Li", "Li", "Li", "Li", "Mn", "Mn", "Mn", "Mn", "Co", "O", "O", "O", "O", "O", "O", "O", "O", "O", "O", "O", "O"], "fractional_positions": [[0.0795, 0.1571, 0.7380], [0.5809, 0.1705, 0.2547], [0.7425, 0.4976, 0.7499], [0.2427, 0.4969, 0.2527], [0.4292, 0.8403, 0.7424], [0.9279, 0.8395, 0.2553], [0.4924, 0.9997, 0.5083], [0.0011, 0.9999, 0.9999], [0.8386, 0.6730, 0.5004], [0.6660, 0.3333, 0.9990], [0.3342, 0.6671, 0.0013], [0.1629, 0.3193, 0.4961], [0.5768, 0.0910, 0.8823], [0.0609, 0.1095, 0.3842], [0.2426, 0.4259, 0.8822], [0.7357, 0.4218, 0.3894], [0.9102, 0.7569, 0.8846], [0.3435, 0.7370, 0.3916], [0.6116, 0.2634, 0.6130], [0.0898, 0.2423, 0.1163], [0.3124, 0.5787, 0.6014], [0.7547, 0.5750, 0.1187], [0.9413, 0.8948, 0.6177], [0.4229, 0.9095, 0.1204]]}


{"formula": "Li7Mn2Co3O12", "functional": "PBE with a Hubbard U", "state": "relaxed", "energy_mp2020_ev_per_cell": -157.3, "spacegroup": "P1 (1)", "formation_energy_mev_per_atom": -1873, "total_magnetization_mub_per_fu": 18.00, "volume_a3_per_atom": 8.95, "lattice": [[5.0232, 0.0000, 0.0000], [0.9339, 5.1065, 0.0000], [0.7157, 2.3184, 8.3779]], "species": ["Li", "Li", "Li", "Li", "Li", "Li", "Li", "Mn", "Mn", "Co", "Co", "Co", "O", "O", "O", "O", "O", "O", "O", "O", "O", "O", "O", "O"], "fractional_positions": [[0.2502, 0.4166, 0.0871], [0.7515, 0.5873, 0.9087], [0.2559, 0.7547, 0.7358], [0.2543, 0.0791, 0.4265], [0.7414, 0.2461, 0.2664], [0.7460, 0.9182, 0.5796], [0.5084, 0.5048, 0.4977], [0.9970, 0.9936, 0.9985], [0.4996, 0.8303, 0.1712], [0.4981, 0.1738, 0.8188], [0.9948, 0.3329, 0.6641], [0.0125, 0.6615, 0.3537], [0.1370, 0.0298, 0.1935], [0.6305, 0.1716, 0.0371], [0.1099, 0.3349, 0.8767], [0.1159, 0.7158, 0.5350], [0.6225, 0.8800, 0.3574], [0.6425, 0.5129, 0.7111], [0.3581, 0.8048, 0.9682], [0.8742, 0.9531, 0.8065], [0.3605, 0.1356, 0.6365], [0.3802, 0.4984, 0.2784], [0.8651, 0.6587, 0.1261], [0.8939, 0.3055, 0.4656]]}